Record 1
ErSiNi3: relaxed, PBE.

The structure in CIF format:
```
data_ErSiNi3
_chemical_formula_sum 'Er2 Si2 Ni6'
_cell_length_a 3.784
_cell_length_b 3.784
_cell_length_c 10.082
_cell_angle_alpha 90.00
_cell_angle_beta 90.00
_cell_angle_gamma 90.00
_space_group_name_H-M_alt 'I 4 m m'
_space_group_IT_number 107
_space_group_name_Hall 'I 4 -2'
loop_
_atom_site_label
_atom_site_fract_x
_atom_site_fract_y
_atom_site_fract_z
_atom_site_occupancy
Er1 0.000 0.000 0.000 1
Si1 0.000 0.000 0.368 1
Ni1 0.000 0.000 0.590 1
Ni2 0.000 0.500 0.242 1
```

Computed properties:
**Formation enthalpy at 0 K**: -0.61 eV/atom
**V**: 144.3 Å³ per cell



Record 2
Co5Sb15I: relaxed, PBE.

The structure in CIF format:
```
data_Co5Sb15I
_chemical_formula_sum 'Co40 Sb120 I8'
_cell_length_a 12.890
_cell_length_b 9.108
_cell_length_c 32.746
_cell_angle_alpha 90.00
_cell_angle_beta 101.27
_cell_angle_gamma 90.00
_space_group_name_H-M_alt 'C 1 2/m 1'
_space_group_IT_number 12
_space_group_name_Hall '-C 2y'
loop_
_atom_site_label
_atom_site_fract_x
_atom_site_fract_y
_atom_site_fract_z
_atom_site_occupancy
Co1 0.049 0.249 0.099 1
Co2 0.050 0.250 0.600 1
Co3 0.150 0.250 0.300 1
Co4 0.150 0.250 0.800 1
Co5 0.250 0.250 0.000 1
Co6 0.250 0.250 0.500 1
Sb1 0.002 0.161 0.667 1
Sb2 0.031 0.000 0.565 1
Sb3 0.036 0.164 0.232 1
Sb4 0.038 0.000 0.901 1
Sb5 0.062 0.500 0.299 1
Sb6 0.064 0.334 0.968 1
Sb7 0.069 0.500 0.635 1
Sb8 0.098 0.339 0.533 1
Sb9 0.101 0.340 0.867 1
Sb10 0.131 0.500 0.765 1
Sb11 0.136 0.336 0.432 1
Sb12 0.138 0.500 0.101 1
Sb13 0.163 0.000 0.499 1
Sb14 0.164 0.164 0.168 1
Sb15 0.170 0.000 0.835 1
Sb16 0.198 0.160 0.733 1
Sb17 0.201 0.160 0.067 1
Sb18 0.230 0.000 0.965 1
Sb19 0.236 0.164 0.632 1
Sb20 0.238 0.000 0.301 1
I1 0.100 0.500 0.200 1
I2 0.200 0.000 0.400 1
```

Computed properties:
**Energy with MP2020 corrections**: -817.552 eV for the cell shown
**Formation enthalpy at 0 K**: -0.15 eV/atom
**V**: 3770.4 Å³ per cell



Record 3
TiSnO3: relaxed, PBE.

The structure in CIF format:
```
data_TiSnO3
_chemical_formula_sum 'Ti1 Sn1 O3'
_cell_length_a 3.951
_cell_length_b 3.951
_cell_length_c 3.951
_cell_angle_alpha 90.00
_cell_angle_beta 90.00
_cell_angle_gamma 90.00
_space_group_name_H-M_alt 'P m -3 m'
_space_group_IT_number 221
_space_group_name_Hall '-P 4 2 3'
loop_
_atom_site_label
_atom_site_fract_x
_atom_site_fract_y
_atom_site_fract_z
_atom_site_occupancy
Ti1 0.000 0.000 0.000 1
Sn1 0.500 0.500 0.500 1
O1 0.000 0.000 0.500 1
```

Computed properties:
**Energy with MP2020 corrections**: -39.732 eV for the cell shown
**Formation enthalpy at 0 K**: -2.60 eV/atom
**V**: 61.7 Å³ per cell



Record 4
OsN: relaxed, PBE.

The structure in CIF format:
```
data_OsN
_chemical_formula_sum 'Os4 N4'
_cell_length_a 4.601
_cell_length_b 4.601
_cell_length_c 4.601
_cell_angle_alpha 90.00
_cell_angle_beta 90.00
_cell_angle_gamma 90.00
_space_group_name_H-M_alt 'F -4 3 m'
_space_group_IT_number 216
_space_group_name_Hall 'F -4 2 3'
loop_
_atom_site_label
_atom_site_fract_x
_atom_site_fract_y
_atom_site_fract_z
_atom_site_occupancy
Os1 0.000 0.000 0.000 1
N1 0.250 0.250 0.750 1
```

Computed properties:
**Energy with MP2020 corrections**: -74.321 eV for the cell shown
**Formation enthalpy at 0 K**: 0.49 eV/atom
**V**: 97.4 Å³ per cell



Record 5
NbCoSb: relaxed, PBE.

The structure in CIF format:
```
data_NbCoSb
_chemical_formula_sum 'Nb4 Co4 Sb4'
_cell_length_a 5.985
_cell_length_b 5.985
_cell_length_c 5.985
_cell_angle_alpha 90.00
_cell_angle_beta 90.00
_cell_angle_gamma 90.00
_space_group_name_H-M_alt 'F -4 3 m'
_space_group_IT_number 216
_space_group_name_Hall 'F -4 2 3'
loop_
_atom_site_label
_atom_site_fract_x
_atom_site_fract_y
_atom_site_fract_z
_atom_site_occupancy
Nb1 0.000 0.000 0.000 1
Co1 0.250 0.250 0.250 1
Sb1 0.000 0.000 0.500 1
```

Computed properties:
**Energy with MP2020 corrections**: -88.635 eV for the cell shown
**Formation enthalpy at 0 K**: -0.27 eV/atom
**V**: 214.4 Å³ per cell



Record 6
Mo3Se4S2: relaxed, PBE.

The structure in CIF format:
```
data_Mo3Se4S2
_chemical_formula_sum 'Mo3 Se4 S2'
_cell_length_a 3.2791
_cell_length_b 3.2791
_cell_length_c 30.1648
_cell_angle_alpha 90.00
_cell_angle_beta 90.00
_cell_angle_gamma 120.00
_space_group_name_H-M_alt 'P 3 m 1'
_space_group_IT_number 156
_space_group_name_Hall 'P 3 -2"'
loop_
_atom_site_label
_atom_site_fract_x
_atom_site_fract_y
_atom_site_fract_z
_atom_site_occupancy
Mo1 0.0000 0.0000 0.0000 1
Mo2 0.0000 0.0000 0.4627 1
Mo3 0.3333 0.6667 0.2313 1
Se1 0.0000 0.0000 0.1754 1
Se2 0.0000 0.0000 0.2873 1
Se3 0.3333 0.6667 0.4067 1
Se4 0.3333 0.6667 0.5187 1
S1 0.3333 0.6667 0.0510 1
S2 0.3333 0.6667 0.9491 1
```

Computed properties:
**Energy with MP2020 corrections**: -62.324 eV for the cell shown
**Formation enthalpy at 0 K**: -0.84 eV/atom
**V**: 280.9 Å³ per cell



Q: Look up the V of the sixth one.
A: 280.9 Å³ per cell



Repeat the fifth record exactly.
NbCoSb: relaxed, PBE.

The structure in CIF format:
```
data_NbCoSb
_chemical_formula_sum 'Nb4 Co4 Sb4'
_cell_length_a 5.985
_cell_length_b 5.985
_cell_length_c 5.985
_cell_angle_alpha 90.00
_cell_angle_beta 90.00
_cell_angle_gamma 90.00
_space_group_name_H-M_alt 'F -4 3 m'
_space_group_IT_number 216
_space_group_name_Hall 'F -4 2 3'
loop_
_atom_site_label
_atom_site_fract_x
_atom_site_fract_y
_atom_site_fract_z
_atom_site_occupancy
Nb1 0.000 0.000 0.000 1
Co1 0.250 0.250 0.250 1
Sb1 0.000 0.000 0.500 1
```

Computed properties:
**Energy with MP2020 corrections**: -88.635 eV for the cell shown
**Formation enthalpy at 0 K**: -0.27 eV/atom
**V**: 214.4 Å³ per cell



Copy entry 6 word for word.
Mo3Se4S2: relaxed, PBE.

The structure in CIF format:
```
data_Mo3Se4S2
_chemical_formula_sum 'Mo3 Se4 S2'
_cell_length_a 3.2791
_cell_length_b 3.2791
_cell_length_c 30.1648
_cell_angle_alpha 90.00
_cell_angle_beta 90.00
_cell_angle_gamma 120.00
_space_group_name_H-M_alt 'P 3 m 1'
_space_group_IT_number 156
_space_group_name_Hall 'P 3 -2"'
loop_
_atom_site_label
_atom_site_fract_x
_atom_site_fract_y
_atom_site_fract_z
_atom_site_occupancy
Mo1 0.0000 0.0000 0.0000 1
Mo2 0.0000 0.0000 0.4627 1
Mo3 0.3333 0.6667 0.2313 1
Se1 0.0000 0.0000 0.1754 1
Se2 0.0000 0.0000 0.2873 1
Se3 0.3333 0.6667 0.4067 1
Se4 0.3333 0.6667 0.5187 1
S1 0.3333 0.6667 0.0510 1
S2 0.3333 0.6667 0.9491 1
```

Computed properties:
**Energy with MP2020 corrections**: -62.324 eV for the cell shown
**Formation enthalpy at 0 K**: -0.84 eV/atom
**V**: 280.9 Å³ per cell



Q: Which of these has the lowest formation enthalpy at 0 K?
A: TiSnO3